Density functional theory data (PBE+U) for a geometry-optimized LaMnSbO structure.

Cell lengths 4.320, 4.320, 9.729 Å; angles 90.00, 90.00, 90.00 degrees
Fractional positions:
Sb1 0.000 0.500 0.311
Sb2 0.500 0.000 0.689
Mn1 0.500 0.500 0.500
Mn2 0.000 0.000 0.500
O1 0.500 0.500 0.000
O2 0.000 0.000 0.000
La1 0.000 0.500 0.886
La2 0.500 0.000 0.114

Values from the calculation:
The calculation puts the final energy at -56.3 eV per cell. Its crystal system is tetragonal.



Density functional theory data (PBE+U) for a geometry-optimized Li4Mn3OF11 structure.

Cell lengths 5.780, 6.119, 6.162 Å; angles 98.59, 98.49, 97.58 degrees
Fractional positions:
F1 0.625 0.449 0.804
F2 0.171 0.391 0.562
F3 0.594 0.152 0.397
F4 0.352 0.543 0.147
F5 0.688 0.845 0.077
F6 0.375 0.129 0.953
F7 0.065 0.925 0.352
F8 0.903 0.297 0.112
F9 0.062 0.710 0.839
F10 0.460 0.817 0.580
F11 0.899 0.102 0.712
Mn1 0.897 0.418 0.683
Mn2 0.713 0.865 0.406
Mn3 0.596 0.363 0.151
Li1 0.418 0.728 0.863
Li2 0.122 0.602 0.326
Li3 0.293 0.094 0.607
Li4 0.990 0.997 0.022
O1 0.776 0.572 0.406

Values from the calculation:
Its crystal system is triclinic. As for the energy above the most stable polymorph in this dataset: 0.0301 eV/atom.



Density functional theory data (PBE+U) for a geometry-optimized Sr2Co2O5 structure.

Cell lengths 5.616, 5.645, 5.665 Å; angles 117.73, 119.26, 91.57 degrees
Fractional positions:
Sr1 0.347 0.891 0.610
Sr2 0.839 0.391 0.609
Co1 0.629 0.689 0.162
Co2 0.098 0.089 0.071
O1 0.922 0.994 0.232
O2 0.310 0.810 0.008
O3 0.348 0.417 0.247
O4 0.691 0.379 0.953
O5 0.834 0.892 0.616

Values from the calculation:
Its crystal system is triclinic. As for the energy above the most stable polymorph in this dataset: 0.0523 eV/atom.



Density functional theory data (PBE+U) for a geometry-optimized Ba2Ca3Tl2Fe4O12 structure.

Cell lengths 3.993, 3.993, 21.471 Å; angles 95.34, 95.34, 90.00 degrees
Fractional positions:
Tl1 0.277 0.277 0.553
Tl2 0.723 0.723 0.447
Ba1 0.160 0.160 0.320
Ba2 0.840 0.840 0.680
Fe1 0.460 0.460 0.920
Fe2 0.540 0.540 0.080
Fe3 0.611 0.611 0.222
Fe4 0.389 0.389 0.778
Ca1 0.000 0.000 0.000
Ca2 0.925 0.925 0.850
Ca3 0.075 0.075 0.150
O1 0.110 0.610 0.220
O2 0.036 0.536 0.073
O3 0.964 0.464 0.927
O4 0.674 0.674 0.347
O5 0.390 0.890 0.780
O6 0.226 0.226 0.453
O7 0.610 0.110 0.220
O8 0.536 0.036 0.073
O9 0.464 0.964 0.927
O10 0.890 0.390 0.780
O11 0.326 0.326 0.653
O12 0.774 0.774 0.547

Values from the calculation:
The calculation puts the final energy at -138.8 eV per cell. Its crystal system is tetragonal.



Density functional theory data (PBE+U) for a geometry-optimized LiSi2NiO6 structure.

Cell lengths 5.343, 12.323, 9.306 Å; angles 67.82, 90.00, 77.48 degrees
Fractional positions:
O1 0.250 0.500 0.987
O2 0.500 0.000 0.237
O3 0.097 0.334 0.228
O4 0.653 0.166 0.311
O5 0.681 0.166 0.022
O6 0.750 0.500 0.487
O7 0.819 0.834 0.689
O8 0.597 0.334 0.728
O9 0.750 0.500 0.013
O10 0.153 0.166 0.811
O11 0.903 0.666 0.561
O12 0.847 0.834 0.978
O13 0.250 0.500 0.513
O14 0.319 0.834 0.189
O15 0.000 0.000 0.263
O16 0.403 0.666 0.061
O17 0.431 0.666 0.772
O18 0.347 0.834 0.478
O19 0.500 0.000 0.763
O20 0.181 0.166 0.522
O21 0.069 0.334 0.939
O22 0.569 0.334 0.439
O23 0.931 0.666 0.272
O24 0.000 0.000 0.737
Si1 0.292 0.917 0.292
Si2 0.958 0.583 0.458
Si3 0.792 0.917 0.792
Si4 0.208 0.083 0.708
Si5 0.042 0.417 0.042
Si6 0.708 0.083 0.208
Si7 0.542 0.417 0.542
Si8 0.458 0.583 0.958
Li1 0.875 0.250 0.375
Li2 0.125 0.750 0.625
Li3 0.375 0.250 0.875
Li4 0.625 0.750 0.125
Ni1 0.625 0.750 0.625
Ni2 0.375 0.250 0.375
Ni3 0.875 0.250 0.875
Ni4 0.125 0.750 0.125

Values from the calculation:
The calculation puts the final energy at -266.5 eV per cell. The piezoelectric modulus e_max is 0.5 C/m2.



Density functional theory data (PBE+U) for a geometry-optimized SrLa4Cr5O15 structure.

Cell lengths 5.555, 6.787, 8.733 Å; angles 104.84, 108.44, 89.72 degrees
Fractional positions:
O1 0.503 0.506 0.004
O2 0.502 0.004 0.491
O3 0.399 0.600 0.302
O4 0.609 0.401 0.696
O5 0.088 0.405 0.698
O6 0.196 0.793 0.901
O7 0.810 0.199 0.111
O8 0.297 0.694 0.597
O9 0.705 0.307 0.409
O10 0.897 0.101 0.793
O11 0.096 0.891 0.195
O12 0.302 0.198 0.111
O13 0.900 0.601 0.303
O14 0.709 0.790 0.899
O15 0.986 0.006 0.493
Cr1 0.200 0.803 0.402
Cr2 0.400 0.598 0.799
Cr3 0.600 0.398 0.200
Cr4 0.800 0.198 0.600
Cr5 0.000 0.002 0.000
Sr1 0.402 0.099 0.803
La1 0.197 0.305 0.394
La2 0.003 0.512 0.000
La3 0.803 0.693 0.603
La4 0.597 0.894 0.198

Values from the calculation:
Its crystal system is triclinic. As for the energy above the most stable polymorph in this dataset: 0.0000 eV/atom.